Record 1
Material: KCr2Fe3O14
Method: DFT, PBE+U
State: relaxed

The structure in extended XYZ format:
```
20
Lattice="6.334 -3.610 0.000 6.334 3.610 0.000 4.277 0.000 5.905" Properties=species:S:1:pos:R:3 pbc="T T T"
K 0.000 0.000 0.000
O 8.436 2.348 4.375
O 7.172 0.000 5.370
O 4.974 1.363 0.900
O 8.510 2.348 1.530
O 4.974 -1.363 0.900
O 4.198 0.000 3.129
O 8.436 -2.348 4.375
O 9.774 0.000 0.535
O 12.748 0.000 2.776
O 11.971 -1.363 5.005
O 8.510 -2.348 1.530
O 11.971 1.363 5.005
O 10.139 0.000 3.533
O 6.806 0.000 2.372
Cr 11.660 0.000 4.063
Cr 5.286 0.000 1.842
Fe 3.167 -1.805 0.000
Fe 3.167 1.805 0.000
Fe 2.138 0.000 2.952
```

Calculated values
The total magnetization is 13.4 μB/f.u. As for the formation energy: -1.24 eV/atom.

---

Record 2
Material: La6Sm2Cr3Fe5O20
Method: DFT, PBE+U
State: relaxed

The structure in extended XYZ format:
```
144
Lattice="0.001 -0.006 11.206 11.601 -0.015 0.001 -5.823 15.993 -5.610" Properties=species:S:1:pos:R:3 pbc="T T T"
Fe 2.644 12.038 2.683
Fe -0.257 4.003 5.454
Fe 0.005 7.986 5.623
Fe 5.574 3.926 5.472
Fe -3.137 12.028 -2.959
Fe 2.662 12.012 -2.955
Fe 8.904 3.940 2.648
Fe -0.003 7.972 0.039
Fe -0.235 3.985 -0.154
Fe 3.092 3.910 2.654
Fe 3.108 3.928 8.266
Fe 5.986 12.024 5.482
Fe 0.200 11.994 5.405
Fe -3.095 12.021 2.663
Fe 5.599 3.930 -0.142
Fe 8.897 3.951 8.265
Fe -2.929 15.985 -2.803
Fe 0.185 11.965 -0.126
Fe 6.010 12.014 -0.153
Fe 8.668 7.977 -2.779
Cr 5.827 0.009 5.565
Cr 11.576 0.022 11.150
Cr 2.915 0.025 8.369
Cr 2.917 7.976 2.782
Cr 5.779 7.970 -0.018
Cr 5.780 7.987 5.570
Cr 8.708 0.000 8.367
Cr 8.719 0.020 2.737
Cr 8.670 7.953 2.789
Cr 0.012 15.979 5.530
Cr 2.918 7.991 8.382
Cr 11.588 0.001 5.556
O 1.467 15.548 1.356
O 7.272 8.354 1.364
O 5.127 3.884 8.959
O 10.239 0.427 4.090
O -2.372 13.782 -2.495
O -0.538 10.168 0.225
O -0.614 13.652 5.998
O 0.611 2.369 6.062
O 5.154 13.687 6.075
O -2.409 10.238 -2.581
O -1.436 7.626 4.166
O 10.086 0.488 1.310
O 3.586 3.991 0.569
O 1.443 8.322 -1.430
O 6.390 5.646 0.358
O 10.117 0.449 6.952
O 0.606 12.066 3.293
O 1.397 15.506 4.118
O 1.531 15.557 -4.315
O 8.038 2.326 8.926
O -1.543 7.590 1.378
O -3.587 11.989 6.159
O 4.453 0.431 9.712
O 4.453 0.413 4.133
O 5.231 10.311 0.394
O 4.382 7.568 -1.436
O 2.248 2.289 8.858
O -3.570 11.988 0.535
O -0.604 13.652 0.449
O -0.665 3.897 3.333
O -1.487 7.688 6.998
O 8.028 2.299 3.238
O 2.302 5.613 3.171
O 0.483 5.783 5.886
O 7.218 8.385 4.191
O 10.203 0.501 9.724
O 3.564 3.978 6.165
O 8.168 5.759 8.651
O 3.506 13.668 3.318
O 5.191 10.314 6.002
O 7.236 8.311 6.975
O 1.499 8.340 1.391
O 9.350 3.911 0.533
O -4.411 15.646 -4.233
O 4.330 0.386 6.949
O -1.413 7.640 -1.422
O 4.358 0.326 1.350
O 4.307 7.568 1.362
O 5.168 13.679 0.439
O 9.365 4.021 6.192
O 8.116 5.640 3.189
O 6.428 2.280 0.488
O -0.682 3.927 8.935
O 6.465 12.100 -2.249
O -4.313 15.652 1.320
O 0.476 5.769 0.266
O -0.465 10.190 5.794
O 2.197 12.087 6.157
O 1.522 8.385 6.983
O 3.461 10.327 3.188
O 4.400 7.562 4.148
O -2.321 10.304 3.157
O 6.329 5.652 5.960
O -4.469 15.550 -1.470
O 0.648 11.959 -2.239
O 5.101 3.859 3.368
O 7.168 8.371 -1.427
O 3.505 13.695 -2.400
O 6.498 11.994 3.391
O 3.476 10.330 -2.390
O -2.314 13.724 3.199
O 4.310 7.586 6.964
O 2.183 11.973 0.592
O 2.322 2.158 3.106
O 6.409 2.299 6.130
O 2.313 5.647 8.742
O 0.598 2.356 0.477
O -4.413 15.616 4.149
O 1.445 8.312 4.174
O 1.398 15.624 -1.484
La 8.586 6.194 5.591
La -2.808 9.802 5.560
La 5.846 6.129 8.303
La -2.847 14.179 5.547
La 0.064 6.155 8.353
La 5.724 9.854 -2.887
La 2.811 6.165 5.522
La -0.072 14.174 -2.936
La 5.730 9.823 2.730
La 2.826 1.814 5.504
La 0.051 6.151 2.780
La -2.843 14.180 -0.098
La 2.800 6.157 -0.089
La 2.811 1.808 -0.047
La -2.848 9.780 -0.090
La 5.722 14.156 2.722
La -0.081 9.749 -2.835
La 2.929 14.129 -0.111
La 2.965 9.818 -0.063
La 5.861 6.079 2.717
La 8.637 6.127 -0.089
La -0.089 9.789 2.774
La 2.941 9.861 5.521
La 8.627 1.835 5.497
Sm 0.077 1.789 2.665
Sm 5.874 1.793 2.692
Sm 5.695 14.182 -2.904
Sm 2.958 14.160 5.517
Sm 0.075 1.841 8.290
Sm 8.616 1.815 -0.090
Sm 5.888 1.805 8.329
Sm -0.113 14.191 2.694
```

Calculated values
The total magnetization is 32.0 μB/f.u. As for the formation energy: -2.77 eV/atom.

---

Record 3
Material: La7SmCr2Fe6O24
Method: DFT, PBE+U
State: relaxed

The structure in extended XYZ format:
```
40
Lattice="-6.341 -3.389 -3.226 -0.695 -4.689 6.295 -4.627 5.349 3.473" Properties=species:S:1:pos:R:3 pbc="T T T"
O -8.400 0.295 1.751
O -4.593 -2.854 7.228
O -6.089 -2.374 0.024
O -5.103 -4.886 0.727
O -9.383 2.801 1.051
O -11.137 0.787 1.816
O -5.146 1.826 8.196
O -2.841 -0.843 6.463
O -5.570 -0.356 6.524
O -3.691 -5.211 3.109
O -6.436 -4.719 3.172
O -5.223 1.995 3.369
O -7.076 0.132 -0.680
O -3.266 -3.024 4.785
O -8.750 -2.054 4.907
O -5.660 -0.194 1.696
O -4.246 -0.519 4.080
O -8.828 -1.879 0.084
O -3.345 -2.867 -0.040
O -2.918 -0.680 1.637
O -7.416 -2.210 2.463
O -6.003 -2.536 4.846
O -6.900 -0.188 8.961
O -1.933 -3.193 2.342
Fe -9.904 -0.712 5.775
Fe -9.556 1.634 2.626
Fe -6.732 0.984 7.389
Fe -6.384 3.330 4.240
Fe -7.592 -3.385 4.040
Fe -4.072 0.657 2.504
La -1.506 -1.006 4.017
La -6.987 -0.029 4.139
La -4.329 -0.356 -0.744
La -1.158 1.339 0.869
La -4.676 -2.700 2.404
La -6.639 2.316 0.991
La -3.816 1.666 5.752
Cr -4.420 -1.689 5.653
Cr -7.244 -1.039 0.890
Sm -3.469 4.010 2.604
```

Calculated values
The total magnetization is 36.0 μB/f.u. As for the formation energy: -2.81 eV/atom.

---

Record 4
Material: La6Sm2Cr5Fe3O20
Method: DFT, PBE+U
State: relaxed

The structure in extended XYZ format:
```
144
Lattice="10.702 1.044 2.831 -1.523 11.332 1.594 -8.446 -8.907 13.177" Properties=species:S:1:pos:R:3 pbc="T T T"
O -3.637 2.807 14.014
O 3.139 -1.728 11.374
O -3.743 2.829 7.627
O -1.069 3.047 8.281
O -0.872 0.121 8.623
O 3.714 9.008 6.718
O 7.482 -0.412 5.870
O 0.119 -1.214 12.526
O -5.330 -4.821 12.282
O -6.141 0.859 13.072
O 0.832 -6.586 15.551
O -4.322 5.478 8.746
O -2.654 0.206 11.975
O 2.314 -2.298 8.236
O -1.864 -6.738 14.828
O 7.938 10.811 4.318
O 2.636 0.654 13.523
O 2.218 -2.323 14.798
O 1.056 6.094 10.109
O -2.576 -1.100 15.555
O 5.251 10.438 3.558
O 2.395 -0.967 4.528
O 8.661 5.238 3.419
O 1.483 3.323 15.736
O -1.016 5.894 2.758
O -4.595 -4.298 8.943
O -0.137 9.924 2.142
O 2.484 10.336 2.835
O -2.987 -2.790 6.870
O 6.905 8.346 5.554
O -5.137 -1.612 11.059
O -1.784 8.504 5.173
O -3.511 -0.190 7.871
O 3.731 6.351 10.789
O -1.345 -0.594 5.887
O 0.733 -3.810 10.133
O 3.330 5.768 7.846
O 6.042 4.829 2.685
O 7.541 2.725 4.720
O -7.185 -7.314 13.332
O -1.970 -5.386 11.170
O 4.316 3.581 9.651
O -2.829 -2.795 13.161
O 0.106 -0.876 16.193
O 1.578 3.391 8.971
O -4.534 -7.072 14.002
O 1.264 1.560 6.575
O 1.809 0.364 9.336
O 0.024 -4.345 13.626
O 0.052 1.852 11.186
O 0.656 4.321 1.279
O 5.033 -2.104 8.943
O -0.259 0.176 2.080
O -0.327 -2.615 7.612
O 2.433 3.990 11.972
O 5.177 0.723 3.795
O 6.661 2.159 7.992
O 2.189 2.107 3.269
O -0.720 4.573 13.228
O 4.193 0.074 7.073
O -2.004 5.199 6.506
O 0.201 7.298 7.700
O 5.889 7.801 8.790
O -2.224 -2.092 9.672
O 6.724 5.211 6.676
O 1.362 7.817 3.971
O 1.624 4.627 5.283
O 4.414 6.418 4.614
O -2.874 3.436 10.712
O -0.861 2.842 4.491
O -5.296 -1.390 14.848
O 3.441 -4.865 12.622
O 4.466 0.681 10.037
O -7.984 -1.572 14.042
O -1.611 5.843 9.468
O -5.926 4.024 11.978
O 3.265 4.649 2.084
O 4.394 3.327 5.879
O -5.314 1.370 9.764
O -0.647 1.331 14.495
Sm 1.464 1.022 15.478
Sm 6.776 6.263 4.676
Sm -6.891 2.909 13.757
Sm -1.623 8.127 2.970
Sm 2.141 -0.040 2.463
Sm 7.544 0.591 3.821
Sm 1.352 5.674 3.261
Sm -0.796 -2.294 14.378
Cr 3.432 -0.830 9.111
Cr 7.667 3.630 2.553
Cr 6.907 9.269 3.348
Cr 4.581 6.196 2.249
Cr 2.282 3.086 1.114
Cr 1.681 4.135 13.851
Cr -1.735 5.005 4.487
Cr -9.174 -3.202 13.932
Cr 0.379 1.731 8.786
Cr 2.686 4.838 9.871
Cr -5.706 6.878 8.166
Cr -2.669 4.316 8.528
Cr 1.141 -3.931 8.056
Cr -1.006 -0.717 3.810
Cr -1.487 11.316 1.638
Cr -1.897 -1.352 7.726
Cr 0.504 8.068 5.797
Cr -6.937 -0.146 15.068
Cr -4.967 1.207 7.385
Cr 5.346 0.521 1.425
Fe -6.086 0.282 11.207
Fe 6.490 3.157 6.312
Fe 4.364 -0.390 5.171
Fe 0.033 -4.819 11.728
Fe 3.574 5.283 5.973
Fe 1.211 2.598 4.904
Fe -5.277 -5.400 10.407
Fe 5.789 8.919 7.109
Fe -0.692 0.748 12.629
Fe -3.806 3.867 12.378
Fe -3.019 -1.808 11.491
Fe 2.208 -1.345 13.053
La 6.530 -0.177 8.019
La 5.824 5.473 8.830
La 0.343 -1.440 10.120
La -2.616 7.392 7.002
La 2.716 7.877 8.539
La 1.177 -0.755 6.526
La -3.077 -5.150 13.256
La 2.252 -4.703 14.619
La 3.445 2.218 7.755
La 3.650 8.625 4.374
La 0.339 4.948 7.344
La -5.072 -2.017 8.704
La -3.849 0.478 14.031
La -2.039 -4.420 8.998
La -5.866 3.646 9.550
La 4.492 2.946 3.542
La -1.500 3.436 15.102
La -1.897 1.731 6.272
La 3.387 -3.924 10.490
La -2.801 1.274 9.845
La -0.413 4.164 10.961
La -6.102 -2.733 12.939
La -0.889 2.457 2.190
La 2.533 1.751 11.346
```

Calculated values
The total magnetization is 32.0 μB/f.u. As for the formation energy: -2.81 eV/atom.

---

Record 5
Material: La5Sm3Cr7FeO24
Method: DFT, PBE+U
State: relaxed

The structure in extended XYZ format:
```
40
Lattice="0.618 -7.650 1.626 7.804 0.495 -0.633 0.515 1.666 7.648" Properties=species:S:1:pos:R:3 pbc="T T T"
La 6.392 -0.293 5.667
La 2.236 -1.373 2.162
La 2.493 -0.541 5.983
La 2.802 -4.362 6.795
La 6.700 -4.115 6.479
O 4.597 -2.328 6.232
O 8.542 -6.730 2.908
O 8.523 -4.411 4.394
O 4.065 -1.664 0.098
O 2.262 -3.707 0.664
O 8.234 -2.921 2.096
O 6.726 -6.449 4.959
O 6.417 -2.624 4.147
O 4.622 -4.659 4.711
O 4.321 -0.833 3.905
O 4.366 -5.485 0.919
O 7.951 -1.419 -0.217
O 6.468 -7.275 1.167
O 8.807 -5.905 6.726
O 4.348 -3.168 2.410
O 8.268 -5.235 0.601
O 2.826 -6.687 5.282
O 2.572 -7.516 1.473
O 4.656 -6.977 3.220
O 4.906 -6.152 7.044
O 2.518 -2.878 4.472
O 6.162 -3.450 0.354
O 8.498 -2.080 5.915
O 8.207 -0.587 3.591
Cr 4.213 -3.578 0.501
Cr 8.677 -6.321 4.813
Cr 8.111 -3.330 0.185
Cr 4.778 -6.568 5.128
Cr 4.470 -2.746 4.316
Cr 8.368 -2.499 4.000
Cr 4.521 -7.399 1.313
Sm 6.443 -4.947 2.658
Sm 6.135 -1.126 1.846
Sm 2.545 -5.195 2.974
Fe 8.420 -7.151 0.999
```

Calculated values
The total magnetization is 26.0 μB/f.u. As for the formation energy: -3.01 eV/atom.